{"formula": "Cs3Fe2Cl9", "functional": "PBE-GGA", "state": "optimized geometry", "lattice": [[3.742, -6.481, 0.000], [3.742, 6.481, 0.000], [0.000, 0.000, 18.159]], "species": ["Cl", "Fe", "Cl", "Cl", "Cl", "Cl", "Cl", "Cl", "Cl", "Cs", "Cl", "Fe", "Cs", "Cl", "Fe", "Cl", "Cl", "Cl", "Cl", "Cl", "Cs", "Cs", "Cs", "Fe", "Cl", "Cl", "Cl", "Cs"], "fractional_positions": [[0.640, 0.820, 0.908], [0.667, 0.333, 0.154], [0.360, 0.180, 0.092], [0.041, 0.521, 0.750], [0.640, 0.820, 0.592], [0.479, 0.521, 0.750], [0.820, 0.180, 0.408], [0.521, 0.479, 0.250], [0.820, 0.640, 0.092], [0.333, 0.667, 0.083], [0.521, 0.041, 0.250], [0.667, 0.333, 0.346], [0.000, 0.000, 0.750], [0.180, 0.820, 0.592], [0.333, 0.667, 0.654], [0.479, 0.959, 0.750], [0.180, 0.820, 0.908], [0.180, 0.360, 0.592], [0.959, 0.479, 0.250], [0.820, 0.640, 0.408], [0.000, 0.000, 0.250], [0.667, 0.333, 0.583], [0.667, 0.333, 0.917], [0.333, 0.667, 0.846], [0.820, 0.180, 0.092], [0.180, 0.360, 0.908], [0.360, 0.180, 0.408], [0.333, 0.667, 0.417]], "formation_enthalpy_0k_kcal_per_mol_atoms": -40.052, "mass_density_kg_m3": 3128, "relative_energy_mev_per_atom": 0, "e_tot_ev_per_cell": -110.10, "space_group": "P6_3/mmc, No. 194"}